Record 1
The following is a DFT calculation (PBE with a Hubbard U) of Mn12O5F19 after structural relaxation.

Unit cell a=4.8591 b=5.8601 c=15.9109 alpha=90.21 beta=90.24 gamma=90.98
With the nearest neighbours (Å) after each atom.
Sites, in units of the cell vectors:
F 0.7625 0.8927 0.0275  3 Mn 2.10-2.16
F 0.7371 0.6200 0.5341  3 Mn 2.08-2.29
F 0.2371 0.8777 0.1325  2 Mn 2.10-2.13
F 0.7333 0.5984 0.1978  3 Mn 2.14-2.20
F 0.7606 0.1050 0.1907  3 Mn 2.13-2.16
Mn 0.5146 0.6486 0.4177  5 F 2.06-2.19, 1 O 2.08
Mn 0.0103 0.8600 0.5856  1 O 1.99, 5 F 2.08-2.19
F 0.7757 0.1172 0.5177  3 Mn 2.10-2.19
F 0.7657 0.8802 0.3571  3 Mn 2.06-2.17
F 0.2297 0.8989 0.4696  3 Mn 2.15-2.24
F 0.7284 0.6079 0.8608  3 Mn 2.07-2.12
F 0.2619 0.3940 0.4760  3 Mn 2.13
F 0.7677 0.8923 0.6993  3 Mn 2.12-2.22
Mn 0.0358 0.1709 0.7505  2 O 1.94-1.95, 2 F 2.08-2.16
Mn 0.9990 0.8362 0.9183  6 F 2.07-2.21
F 0.2663 0.6200 0.3076  3 Mn 2.07-2.20
F 0.7904 0.1226 0.8560  3 Mn 2.08-2.21
O 0.2166 0.1091 0.6444  3 Mn 1.94-2.01
F 0.2725 0.3790 0.1491  3 Mn 2.11-2.19
Mn 0.9936 0.1750 0.4057  2 O 1.95, 3 F 2.10-2.17
F 0.7389 0.3907 0.6920  3 Mn 2.11-2.16
F 0.2385 0.8800 0.8099  3 Mn 2.07-2.20
Mn 0.4881 0.3170 0.5866  1 O 2.01, 4 F 2.11-2.21
O 0.7017 0.3924 0.0198  3 Mn 1.96-2.01
Mn 0.5116 0.6408 0.0829  1 O 2.01, 5 F 2.10-2.19
F 0.2608 0.6067 0.9747  3 Mn 2.07-2.17
Mn 0.0188 0.8531 0.2481  1 O 2.05, 5 F 2.07-2.17
F 0.2345 0.1183 0.9717  3 Mn 2.04-2.17
Mn 0.9731 0.1902 0.0782  1 O 2.01, 4 F 2.13-2.17
O 0.2961 0.3761 0.8082  3 Mn 1.95-2.06
O 0.7141 0.3768 0.3618  3 Mn 1.94-2.08
Mn 0.5001 0.3423 0.9145  2 O 1.96-1.97, 4 F 2.04-2.17
F 0.2653 0.6117 0.6372  3 Mn 2.09-2.21
O 0.2142 0.1251 0.3056  3 Mn 1.93-2.05
Mn 0.4966 0.3256 0.2608  2 O 1.93-1.94, 2 F 2.11-2.15
Mn 0.4888 0.6475 0.7500  1 O 2.06, 5 F 2.07-2.16

Summary:
- Space-group type: No. 1



Record 2
The following is a DFT calculation (PBE with a Hubbard U) of Mn6O7F5 after structural relaxation.

Unit cell a=4.5604 b=5.6785 c=15.3679 alpha=90.04 beta=90.15 gamma=90.49
With the nearest neighbours (Å) after each atom.
Sites, in units of the cell vectors:
O 0.7776 0.8875 0.6327  3 Mn 1.94-2.00
O 0.7204 0.6027 0.4794  3 Mn 1.87-2.07
F 0.7449 0.3830 0.6528  3 Mn 2.00-2.15
F 0.2460 0.1304 0.3560  3 Mn 2.05-2.21
O 0.7633 0.1141 0.1368  3 Mn 1.95-2.03
O 0.7607 0.1142 0.4671  3 Mn 1.92-2.06
Mn 0.4987 0.6498 0.5869  4 O 1.96-2.04, 2 F 2.12-2.15
O 0.2674 0.6114 0.0321  3 Mn 1.93-2.02
F 0.7409 0.3820 0.3200  3 Mn 1.98-2.14
O 0.7195 0.6029 0.1473  3 Mn 1.88-2.06
O 0.2782 0.3839 0.8662  3 Mn 1.94-2.01
Mn 0.4862 0.6524 0.9256  3 O 1.93-2.01, 3 F 2.01-2.15
Mn 0.9718 0.8417 0.0788  4 O 1.91-2.06, 1 F 1.99
F 0.2437 0.8853 0.8476  3 Mn 2.01-2.14
Mn 0.9945 0.8478 0.7400  3 O 1.94-2.04, 3 F 2.01-2.15
F 0.2268 0.8789 0.1829  3 Mn 1.99-2.12
O 0.2752 0.3800 0.1976  3 Mn 1.88-2.03
F 0.7383 0.3805 0.9877  3 Mn 1.98-2.15
Mn 0.4987 0.6508 0.2542  4 O 1.95-2.03, 2 F 2.11-2.14
Mn 0.9914 0.1532 0.9103  3 O 1.94-2.03, 3 F 2.10-2.14
O 0.7808 0.8862 0.3010  3 Mn 1.91-1.99
Mn 0.9901 0.1533 0.2436  3 O 1.95-1.99, 3 F 2.09-2.12
O 0.7775 0.8838 0.9696  3 Mn 1.91-2.03
Mn 0.9839 0.1524 0.5726  3 O 1.92-2.00, 3 F 2.01-2.13
Mn 0.9764 0.8388 0.4096  4 O 1.91-2.07, 1 F 1.97
O 0.2723 0.6138 0.3616  3 Mn 1.96-2.01
Mn 0.4907 0.3498 0.7578  3 O 1.94-2.03, 3 F 2.00-2.14
F 0.2260 0.8763 0.5137  3 Mn 1.97-2.13
F 0.2441 0.1211 0.6775  3 Mn 2.01-2.15
Mn 0.4958 0.3633 0.0945  4 O 1.88-2.00, 2 F 1.98-2.06
F 0.7449 0.6189 0.8211  3 Mn 2.01-2.14
O 0.2816 0.6173 0.6965  3 Mn 1.96-2.03
O 0.7796 0.1155 0.8012  3 Mn 1.94-2.04
O 0.2722 0.3826 0.5280  3 Mn 1.87-2.04
Mn 0.4950 0.3670 0.4260  4 O 1.87-2.00, 2 F 1.98-2.05
F 0.2448 0.1273 0.0239  3 Mn 2.06-2.21

Summary:
- Space-group type: No. 1



Record 3
The following is a DFT calculation (PBE with a Hubbard U) of Mn6O7F5 after structural relaxation.

Unit cell a=4.6710 b=5.6188 c=7.7233 alpha=85.77 beta=88.94 gamma=88.15
With the nearest neighbours (Å) after each atom.
Sites, in units of the cell vectors:
F 0.1987 0.9697 0.2111  3 Mn 1.98-2.14
Mn 0.5370 0.8426 0.6579  4 O 1.90-1.98, 1 F 1.99
O 0.8065 0.7083 0.0910  3 Mn 1.95-2.04
F 0.3098 0.8085 0.8791  3 Mn 1.99-2.08
F 0.1890 0.6253 0.5622  3 Mn 2.06-2.23
Mn 0.0080 0.3281 0.6863  4 O 1.88-1.99, 2 F 2.01-2.06
Mn 0.4784 0.1703 0.3481  3 O 1.92-1.99, 3 F 1.99-2.13
O 0.8067 0.0455 0.7704  3 Mn 1.91-1.98
F 0.8166 0.3572 0.4541  3 Mn 2.01-2.13
O 0.3066 0.4654 0.2355  3 Mn 1.96-2.02
Mn 0.9851 0.6607 0.3193  3 O 1.96-1.99, 3 F 2.10-2.14
O 0.6936 0.8722 0.4281  3 Mn 1.90-1.99
O 0.1834 0.2927 0.9043  3 Mn 1.88-2.09
Mn 0.5005 0.5006 0.9996  4 O 2.01-2.09, 2 F 2.08-2.10
O 0.3013 0.1228 0.5737  3 Mn 1.92-1.99
Mn 0.9864 0.9964 0.9905  3 O 1.91-1.99, 3 F 1.98-2.04
O 0.6953 0.5389 0.7653  3 Mn 1.97-2.01
F 0.6970 0.1949 0.1236  3 Mn 1.99-2.10

Summary:
- Space-group type: No. 1



Number 1: ρ 4.03 g cm⁻³, energy of formation -2.658 eV per atom, calculated volume 453 Å³/cell. Number 2: ρ 4.48 g cm⁻³, energy of formation -2.211 eV per atom, calculated volume 398 Å³/cell. Number 3: ρ 4.41 g cm⁻³, energy of formation -2.215 eV per atom, calculated volume 202 Å³/cell.